Record 1
Computed, not measured: a relaxed structure of H at the PBE level of DFT.

## Properties
- SG: No. 191

Cell lengths 2.8506, 2.8506, 0.9842 Å; angles 90.00, 90.00, 120.00 degrees
Closest atoms and distances in Å follow each position.
Sites, in units of the cell vectors:
H1 0.0000 0.0000 0.0000  2 H 0.98


Record 2
Computed, not measured: a relaxed structure of CeH8S2O12 at the PBE level of DFT.

## Properties
- SG: No. 70

Cell lengths 14.8429, 13.8463, 6.7596 Å; angles 84.76, 68.27, 26.97 degrees
Closest atoms and distances in Å follow each position.
Sites, in units of the cell vectors:
Ce1 0.1250 0.1250 0.1250  8 O 2.33-2.41
Ce2 0.8750 0.8750 0.8750  8 O 2.33-2.41
H1 0.0490 0.4973 0.7481  1 O 1.00
H2 0.1381 0.7512 0.3568  1 O 0.99
H3 0.2056 0.7481 0.4973  1 O 1.00
H4 0.2488 0.8619 0.7461  1 O 0.99
H5 0.2519 0.7944 0.9510  1 O 1.00
H6 0.2539 0.3568 0.7512  1 O 0.99
H7 0.3568 0.2539 0.1381  1 O 0.99
H8 0.4973 0.0490 0.2056  1 O 1.00
H9 0.5027 0.9510 0.7944  1 O 1.00
H10 0.6432 0.7461 0.8619  1 O 0.99
H11 0.7461 0.6432 0.2488  1 O 0.99
H12 0.7481 0.2056 0.0490  1 O 1.00
H13 0.7512 0.1381 0.2539  1 O 0.99
H14 0.7944 0.2519 0.5027  1 O 1.00
H15 0.8619 0.2488 0.6432  1 O 0.99
H16 0.9510 0.5027 0.2519  1 O 1.00
S1 0.1827 0.1827 0.5673  4 O 1.48-1.50
S2 0.4327 0.4327 0.8173  4 O 1.48-1.50
S3 0.5673 0.5673 0.1827  4 O 1.48-1.50
S4 0.8173 0.8173 0.4327  4 O 1.48-1.50
O1 0.0133 0.5605 0.2801  1 S 1.48
O2 0.0898 0.2095 0.4654  1 S 1.50
O3 0.0913 0.5195 0.7803  2 H 0.99-1.00
O4 0.1089 0.7803 0.5195  2 H 0.99-1.00
O5 0.2095 0.0898 0.7352  1 S 1.50
O6 0.2197 0.8911 0.9087  2 H 0.99-1.00
O7 0.2648 0.5346 0.7905  1 S 1.50
O8 0.2801 0.6461 0.0133  1 S 1.48
O9 0.3539 0.7199 0.4395  1 S 1.48
O10 0.4395 0.9867 0.3539  1 S 1.48
O11 0.4654 0.7352 0.0898  1 S 1.50
O12 0.4805 0.9087 0.8911  2 H 0.99-1.00
O13 0.5195 0.0913 0.1089  2 H 0.99-1.00
O14 0.5346 0.2648 0.9102  1 S 1.50
O15 0.5605 0.0133 0.6461  1 S 1.48
O16 0.6461 0.2801 0.5605  1 S 1.48
O17 0.7199 0.3539 0.9867  1 S 1.48
O18 0.7352 0.4654 0.2095  1 S 1.50
O19 0.7803 0.1089 0.0913  2 H 0.99-1.00
O20 0.7905 0.9102 0.2648  1 S 1.50
O21 0.8911 0.2197 0.4805  2 H 0.99-1.00
O22 0.9087 0.4805 0.2197  2 H 0.99-1.00
O23 0.9102 0.7905 0.5346  1 S 1.50
O24 0.9867 0.4395 0.7199  1 S 1.48


| no. | electronic total energy (eV per cell) |
| --- | --- |
| 1 | -3.0 |
| 2 | -269.0 |